VASP calculation (PBE+U) on a geometry-optimized LiSc4Fe4O12 structure.

Cell lengths 5.237, 5.238, 8.437 Å; angles 86.02, 88.66, 86.80 degrees
Fractional positions:
Li  0.000  0.000  0.000
Sc  0.023  0.747  0.375
Sc  0.453  0.272  0.869
Sc  0.540  0.187  0.300
Sc  0.918  0.666  0.788
Fe  0.044  0.401  0.139
Fe  0.424  0.828  0.635
Fe  0.507  0.745  0.076
Fe  0.964  0.233  0.571
O  0.149  0.050  0.759
O  0.163  0.569  0.602
O  0.216  0.589  0.942
O  0.259  0.034  0.449
O  0.317  0.089  0.100
O  0.345  0.555  0.261
O  0.630  0.912  0.854
O  0.671  0.438  0.684
O  0.727  0.435  0.004
O  0.747  0.937  0.528
O  0.790  0.903  0.191
O  0.858  0.390  0.357

## Properties
SG: P1 (1)
energy relative to the lowest polymorph listed for this composition: 0 meV per atom
V: 10.97 A^3/atom
energy of formation from the pure elements: -2.679 eV per atom
magnetic moment: 19.0 μB per formula unit